Below is a relaxed structure of Cd4OF6, with properties calculated at the r²SCAN level.

abc: 7.5252 7.5252 5.4230
angles: 90.00 90.00 90.00
Space group P4_2/nmc (No. 137, origin choice 2)
Unique sites:
Cd (0.0021, 0.2500, 0.0527) x8
O (0.2500, 0.7500, 0.7500) x2
F (0.0375, 0.5375, 0.2500) x8
F (0.2500, 0.2500, 0.3200) x4

Values from the calculation:
- Total magnetization: 0.0 μB per formula unit
- Raw total energy: -259.6 eV/cell

***

Below is a relaxed structure of CdPbF6, with properties calculated at the r²SCAN level.

abc: 5.2879 5.2879 15.3358
angles: 90.00 90.00 120.00
Space group R-3 (No. 148, hexagonal axes)
Unique sites:
Cd (0.0000, 0.0000, 0.0000) x3
Pb (0.0000, 0.0000, 0.5000) x3
F (0.0045, 0.6843, 0.5801) x18

Values from the calculation:
- Total magnetization: 0.0 μB per formula unit
- Raw total energy: -338.2 eV/cell

***

Below is a relaxed structure of Cd4SF6, with properties calculated at the r²SCAN level.

abc: 7.8910 7.8910 5.5106
angles: 90.00 90.00 90.00
Space group P4_2/nmc (No. 137, origin choice 2)
Unique sites:
Cd (0.0150, 0.2500, 0.0164) x8
S (0.2500, 0.7500, 0.7500) x2
F (0.0356, 0.5356, 0.2500) x8
F (0.2500, 0.2500, 0.2765) x4

Values from the calculation:
- Total magnetization: 0.0 μB per formula unit
- Raw total energy: -261.2 eV/cell

***

Below is a relaxed structure of Cd3Ga, with properties calculated at the r²SCAN level.

abc: 4.3817 4.3817 8.7604
angles: 90.00 90.00 90.00
Space group I4/mmm (No. 139)
Unique sites:
Cd (0.0000, 0.0000, 0.0000) x2
Cd (0.0000, 0.5000, 0.2500) x4
Ga (0.0000, 0.0000, 0.5000) x2

Values from the calculation:
- Total magnetization: 0.0 μB per formula unit
- Raw total energy: -142.9 eV/cell

***

Below is a relaxed structure of Cd3Ga, with properties calculated at the r²SCAN level.

abc: 6.2903 6.2903 4.9771
angles: 90.00 90.00 120.00
Space group P6_3/mmc (No. 194)
Unique sites:
Cd (0.1681, 0.3362, 0.2500) x6
Ga (0.3333, 0.6667, 0.7500) x2

Values from the calculation:
- Total magnetization: 0.0 μB per formula unit
- Raw total energy: -142.7 eV/cell

***

Below is a relaxed structure of NdCdGa, with properties calculated at the r²SCAN level.

abc: 7.3963 7.3963 4.4959
angles: 90.00 90.00 120.00
Space group P-62m (No. 189)
Unique sites:
Nd (0.0000, 0.5794, 0.0000) x3
Cd (0.0000, 0.2471, 0.5000) x3
Ga (0.0000, 0.0000, 0.0000) x1
Ga (0.3333, 0.6667, 0.5000) x2

Values from the calculation:
- Total magnetization: 0.0 μB per formula unit
- Raw total energy: -188.3 eV/cell

***

Below is a relaxed structure of PrCdGa, with properties calculated at the r²SCAN level.

abc: 7.4509 7.4509 4.5133
angles: 90.00 90.00 120.00
Space group P-62m (No. 189)
Unique sites:
Pr (0.0000, 0.5799, 0.0000) x3
Cd (0.0000, 0.2467, 0.5000) x3
Ga (0.0000, 0.0000, 0.0000) x1
Ga (0.3333, 0.6667, 0.5000) x2

Values from the calculation:
- Total magnetization: 0.0 μB per formula unit
- Raw total energy: -188.2 eV/cell

***

Below is a relaxed structure of ZnCd4Ga10S20, with properties calculated at the r²SCAN level.

abc: 5.5299 6.4563 24.3914
angles: 93.03 90.03 115.35
Space group P1 (No. 1)
Unique sites:
Zn (0.0000, 0.0000, 0.0000) x1
Cd (0.2002, 0.3934, 0.8038) x1
Cd (0.4049, 0.8035, 0.6019) x1
Cd (0.6079, 0.2074, 0.3997) x1
Cd (0.8184, 0.6229, 0.1975) x1
Ga (0.0057, 0.0033, 0.5002) x1
Ga (0.1165, 0.2197, 0.1461) x1
Ga (0.2090, 0.4085, 0.2975) x1
Ga (0.2961, 0.5981, 0.9534) x1
Ga (0.4139, 0.8237, 0.0971) x1
Ga (0.5035, 0.9956, 0.7532) x1
Ga (0.5994, 0.1930, 0.9051) x1
Ga (0.7061, 0.4033, 0.5509) x1
Ga (0.8025, 0.5962, 0.7025) x1
Ga (0.9088, 0.8081, 0.3488) x1
S (0.0399, 0.5321, 0.3712) x1
S (0.0813, 0.6938, 0.5199) x1
S (0.1045, 0.7015, 0.0263) x1
S (0.1894, 0.9071, 0.6842) x1
S (0.2546, 0.9510, 0.1713) x1
S (0.2836, 0.0990, 0.3178) x1
S (0.3120, 0.0680, 0.8304) x1
S (0.3928, 0.3134, 0.4817) x1
S (0.4010, 0.3059, 0.9763) x1
S (0.4907, 0.5138, 0.1164) x1
S (0.5137, 0.4761, 0.6281) x1
S (0.5961, 0.7202, 0.2797) x1
S (0.6340, 0.7198, 0.7762) x1
S (0.6862, 0.8887, 0.9264) x1
S (0.7163, 0.8805, 0.4260) x1
S (0.8109, 0.1184, 0.0747) x1
S (0.8376, 0.1279, 0.5737) x1
S (0.8777, 0.2858, 0.7217) x1
S (0.9204, 0.2911, 0.2229) x1
S (0.9812, 0.5050, 0.8845) x1

Values from the calculation:
- Total magnetization: 0.0 μB per formula unit
- Raw total energy: -393.6 eV/cell

***

Below is a relaxed structure of SmCdGa, with properties calculated at the r²SCAN level.

abc: 7.3268 7.3268 4.4427
angles: 90.00 90.00 120.00
Space group P-62m (No. 189)
Unique sites:
Sm (0.0000, 0.5784, 0.0000) x3
Cd (0.0000, 0.2481, 0.5000) x3
Ga (0.0000, 0.0000, 0.0000) x1
Ga (0.3333, 0.6667, 0.5000) x2

Values from the calculation:
- Total magnetization: 0.0 μB per formula unit
- Raw total energy: -189.3 eV/cell

***

Below is a relaxed structure of Yb2CdGa, with properties calculated at the r²SCAN level.

abc: 7.1377 7.1377 7.1377
angles: 90.00 90.00 90.00
Space group Fm-3m (No. 225)
Unique sites:
Yb (0.2500, 0.2500, 0.2500) x8
Cd (0.0000, 0.0000, 0.0000) x4
Ga (0.0000, 0.0000, 0.5000) x4

Values from the calculation:
- Total magnetization: 0.0 μB per formula unit
- Raw total energy: -426.4 eV/cell

***

Below is a relaxed structure of GdCd3, with properties calculated at the r²SCAN level.

abc: 6.6479 6.6479 4.9604
angles: 90.00 90.00 120.00
Space group P6_3/mmc (No. 194)
Unique sites:
Gd (0.3333, 0.6667, 0.2500) x2
Cd (0.1598, 0.3196, 0.7500) x6

Values from the calculation:
- Total magnetization: 7.5 μB per formula unit
- Raw total energy: -209.8 eV/cell

***

Below is a relaxed structure of Gd3Cd, with properties calculated at the r²SCAN level.

abc: 6.9636 6.9636 5.6657
angles: 90.00 90.00 120.00
Space group P6_3/mmc (No. 194)
Unique sites:
Gd (0.1704, 0.3409, 0.2500) x6
Cd (0.3333, 0.6667, 0.7500) x2

Values from the calculation:
- Total magnetization: 24.3 μB per formula unit
- Raw total energy: -301.6 eV/cell

***

Below is a relaxed structure of Gd2CdHg, with properties calculated at the r²SCAN level.

abc: 7.4882 7.4882 7.4882
angles: 90.00 90.00 90.00
Space group Fm-3m (No. 225)
Unique sites:
Gd (0.2500, 0.2500, 0.2500) x8
Cd (0.0000, 0.0000, 0.0000) x4
Hg (0.0000, 0.0000, 0.5000) x4

Values from the calculation:
- Total magnetization: 15.6 μB per formula unit
- Raw total energy: -632.2 eV/cell

***

Below is a relaxed structure of Gd2CdIn, with properties calculated at the r²SCAN level.

abc: 7.5518 7.5518 7.5518
angles: 90.00 90.00 90.00
Space group Fm-3m (No. 225)
Unique sites:
Gd (0.2500, 0.2500, 0.2500) x8
Cd (0.0000, 0.0000, 0.0000) x4
In (0.0000, 0.0000, 0.5000) x4

Values from the calculation:
- Total magnetization: 15.1 μB per formula unit
- Raw total energy: -525.9 eV/cell

***

Below is a relaxed structure of GdCdPd, with properties calculated at the r²SCAN level.

abc: 3.9559 13.1958 7.6029
angles: 90.00 90.00 90.00
Space group Amm2 (No. 38)
Unique sites:
Gd (0.0000, 0.0000, 0.0000) x2
Gd (0.0000, 0.2026, 0.6078) x4
Cd (0.5000, 0.0000, 0.6612) x2
Cd (0.5000, 0.1280, 0.2773) x4
Pd (0.0000, 0.0000, 0.4057) x2
Pd (0.5000, 0.1668, 0.9055) x4

Values from the calculation:
- Total magnetization: 7.5 μB per formula unit
- Raw total energy: -531.1 eV/cell

***

Below is a relaxed structure of Pm2CdGe, with properties calculated at the r²SCAN level.

abc: 7.4315 7.4315 7.4315
angles: 90.00 90.00 90.00
Space group Fm-3m (No. 225)
Unique sites:
Pm (0.2500, 0.2500, 0.2500) x8
Cd (0.0000, 0.0000, 0.0000) x4
Ge (0.0000, 0.0000, 0.5000) x4

Values from the calculation:
- Total magnetization: 0.0 μB per formula unit
- Raw total energy: -381.2 eV/cell

***

Below is a relaxed structure of Sm2CdGe2, with properties calculated at the r²SCAN level.

abc: 7.4208 7.4208 4.2744
angles: 90.00 90.00 90.00
Space group P4/mbm (No. 127)
Unique sites:
Sm (0.1794, 0.3206, 0.0000) x4
Cd (0.0000, 0.0000, 0.5000) x2
Ge (0.1196, 0.6196, 0.5000) x4

Values from the calculation:
- Total magnetization: 0.0 μB per formula unit
- Raw total energy: -223.0 eV/cell

***

Below is a relaxed structure of Tm2CdGe2, with properties calculated at the r²SCAN level.

abc: 7.2160 7.2160 4.1027
angles: 90.00 90.00 90.00
Space group P4/mbm (No. 127)
Unique sites:
Tm (0.1781, 0.3219, 0.0000) x4
Cd (0.0000, 0.0000, 0.5000) x2
Ge (0.1219, 0.6219, 0.5000) x4

Values from the calculation:
- Total magnetization: 0.0 μB per formula unit
- Raw total energy: -243.9 eV/cell

***

Below is a relaxed structure of Yb2CdGe2, with properties calculated at the r²SCAN level.

abc: 7.1956 7.1956 4.0839
angles: 90.00 90.00 90.00
Space group P4/mbm (No. 127)
Unique sites:
Yb (0.1781, 0.3219, 0.0000) x4
Cd (0.0000, 0.0000, 0.5000) x2
Ge (0.1221, 0.6221, 0.5000) x4

Values from the calculation:
- Total magnetization: 0.0 μB per formula unit
- Raw total energy: -249.4 eV/cell

***

Below is a relaxed structure of YbCdGe, with properties calculated at the r²SCAN level.

abc: 7.2907 7.2907 4.1732
angles: 90.00 90.00 120.00
Space group P-62m (No. 189)
Unique sites:
Yb (0.0000, 0.6007, 0.0000) x3
Cd (0.0000, 0.2563, 0.5000) x3
Ge (0.0000, 0.0000, 0.0000) x1
Ge (0.3333, 0.6667, 0.5000) x2

Values from the calculation:
- Total magnetization: 0.0 μB per formula unit
- Raw total energy: -216.0 eV/cell